Record 1
Crystalline EuCu at its relaxed geometry, computed with PBE.

Cell lengths 4.4092, 5.9313, 7.7643 Å; angles 90.00, 90.00, 90.00 degrees
Atoms (fractional coordinates):
Cu 0.7500 0.3957 0.9703
Cu 0.2500 0.8957 0.5297
Cu 0.2500 0.6043 0.0297
Cu 0.7500 0.1043 0.4703
Eu 0.7500 0.6305 0.3187
Eu 0.2500 0.1305 0.1813
Eu 0.2500 0.3695 0.6813
Eu 0.7500 0.8695 0.8187



Record 2
Crystalline EuCu5 at its relaxed geometry, computed with PBE.

Cell lengths 4.0428, 5.1592, 5.1592 Å; angles 120.00, 90.00, 90.00 degrees
Atoms (fractional coordinates):
Cu 0.5000 0.5000 0.5000
Cu 0.0000 0.6667 0.3333
Cu 0.5000 0.5000 0.0000
Cu 0.5000 0.0000 0.5000
Cu 0.0000 0.3333 0.6667
Eu 0.0000 0.0000 0.0000



Record 3
Crystalline EuCu at its relaxed geometry, computed with PBE.

Cell lengths 3.6269, 3.6269, 3.6269 Å; angles 90.00, 90.00, 90.00 degrees
Atoms (fractional coordinates):
Eu 0.5000 0.5000 0.5000
Cu 0.0000 0.0000 0.0000

**Magnetization**: 7.28 μB per formula unit



The calculation returns the following formation enthalpy at 0 K values, one per record and in order: -0.152 -0.113 -0.080 eV per atom.